1.
First-principles (PBE) data for a relaxed structure of Ga4Bi3N, as listed in the Materials Project database.

Values from the calculation:
* spin magnetization: 0.00 μB per formula unit
* energy relative to the elements: 0.16 eV per atom
* ρ: 7.0 g cm⁻³
* crystal system: orthorhombic

Unit cell a=4.188 b=8.766 c=11.863 alpha=90.00 beta=90.00 gamma=90.00
Space group Amm2 (No. 38)
Asymmetric unit:
Ga: 0.000 0.000 0.000
Ga: 0.000 0.000 0.441
Ga: 0.500 0.184 0.177
Bi: 0.000 0.239 0.820
Bi: 0.500 0.000 0.593
N: 0.500 0.000 0.079

***

2.
First-principles (PBE) data for a relaxed structure of GaBi12O20, as listed in the Materials Project database.

Values from the calculation:
* spin magnetization: 0.03 μB per formula unit
* energy relative to the elements: -1.65 eV per atom
* ρ: 9.0 g cm⁻³
* crystal system: cubic

Unit cell a=10.240 b=10.240 c=10.240 alpha=90.00 beta=90.00 gamma=90.00
Space group I23 (No. 197)
Asymmetric unit:
Ga: 0.000 0.000 0.000
Bi: 0.011 0.176 0.316
O: 0.012 0.369 0.751
O: 0.107 0.107 0.893
O: 0.192 0.192 0.192

***

3.
First-principles (PBE) data for a relaxed structure of Ga4Bi2O9, as listed in the Materials Project database.

Values from the calculation:
* energy relative to the elements: -2.07 eV per atom
* ρ: 6.9 g cm⁻³
* offset from the most stable computed form: 0.0 meV/atom
* crystal system: orthorhombic

Unit cell a=8.039 b=8.445 c=6.005 alpha=90.00 beta=90.00 gamma=90.00
Space group Pbam (No. 55)
Asymmetric unit:
Ga: 0.000 0.000 0.241
Ga: 0.149 0.338 0.000
Bi: 0.177 0.673 0.500
O: 0.000 0.500 0.000
O: 0.127 0.210 0.256
O: 0.133 0.908 0.000
O: 0.150 0.936 0.500